# 1
The following is a DFT calculation (PBE+U) of crystalline Li2MnO2F at its relaxed geometry.

Structure (POSCAR):
```
Li2MnO2F
1.0
4.6244 0.0000 0.0000
2.3109 4.5740 0.0000
2.3119 -1.0316 10.7814
Li Mn O F
8 4 8 4
direct
0.1363 0.0586 0.2052
0.1510 0.6918 0.5442
0.3489 0.8082 0.9558
0.3632 0.4416 0.2947
0.6368 0.5584 0.7053
0.6511 0.1918 0.0442
0.8490 0.3082 0.4558
0.8637 0.9414 0.7948
0.1274 0.3747 0.8744
0.3733 0.1256 0.6253
0.6267 0.8744 0.3747
0.8726 0.6253 0.1256
0.1050 0.2337 0.0383
0.1277 0.5170 0.7115
0.3733 0.9829 0.7884
0.3948 0.2665 0.4616
0.6052 0.7335 0.5384
0.6267 0.0171 0.2116
0.8723 0.4830 0.2885
0.8950 0.7663 0.9617
0.1251 0.8747 0.3748
0.3746 0.6253 0.1252
0.6254 0.3747 0.8748
0.8749 0.1253 0.6252
```

Calculated values
For the energy, the calculation gives -6.009 eV/atom. For the energy above the lowest structure with this stoichiometry, the calculation gives 26.5 meV/atom. As for the total moment: 0.000 μB/f.u. The volume is 9.50 A^3/atom.


# 2
The following is a DFT calculation (PBE+U) of crystalline Li4MnO3F at its relaxed geometry.

Structure (POSCAR):
```
Li4MnO3F
1.0
-5.4114 1.7958 3.0365
-3.3090 -5.7085 -2.5209
2.3145 -4.2811 6.6561
Li Mn O F
16 4 12 4
direct
0.4974 0.5082 0.3389
0.4974 0.0082 0.8389
0.9974 0.4918 0.3389
0.9974 0.9918 0.8389
0.9974 0.4918 0.6611
0.9974 0.9918 0.1611
0.4974 0.5082 0.6611
0.4974 0.0082 0.1611
0.2395 0.7275 0.1533
0.2395 0.2276 0.6533
0.7395 0.2724 0.1533
0.7395 0.7725 0.6533
0.2395 0.7275 0.8467
0.2395 0.2276 0.3467
0.7395 0.2724 0.8467
0.7395 0.7725 0.3467
0.2786 0.8680 0.5000
0.7787 0.6320 0.0000
0.2786 0.3679 0.0000
0.7786 0.1321 0.5000
0.0126 0.7835 0.0000
0.0128 0.2836 0.5000
0.5127 0.2164 0.0000
0.5126 0.7165 0.5000
0.7522 0.5445 0.2142
0.7522 0.0446 0.7142
0.2522 0.4554 0.2142
0.2522 0.9554 0.7142
0.2522 0.4554 0.7858
0.2521 0.9554 0.2857
0.7521 0.5446 0.7857
0.7522 0.0446 0.2859
0.9805 0.2100 0.0000
0.9805 0.7100 0.5000
0.4805 0.7900 0.0000
0.4805 0.2900 0.5000
```

Calculated values
For the energy, the calculation gives -5.514 eV/atom. As for the total moment: 0.000 μB/f.u. The volume is 10.45 A^3/atom.


# 3
The following is a DFT calculation (PBE+U) of crystalline Li2MnO2F at its relaxed geometry.

Structure (POSCAR):
```
Li2MnO2F
1.0
1.6240 4.6960 1.4419
-0.5565 -1.6827 6.1069
7.5843 -0.4269 0.5735
Li Mn O F
8 4 8 4
direct
0.9984 0.2500 0.6661
0.4984 0.2500 0.1661
0.0016 0.7500 0.3339
0.5016 0.7500 0.8339
0.0613 0.7500 0.6871
0.5613 0.7500 0.1871
0.9387 0.2500 0.3129
0.4387 0.2500 0.8129
0.5000 0.0000 0.5000
0.5000 0.5000 0.5000
0.0000 0.0000 0.0000
0.0000 0.5000 0.0000
0.3227 0.7500 0.4409
0.8228 0.7500 0.9409
0.6773 0.2500 0.5591
0.1772 0.2500 0.0591
0.7500 0.5000 0.2500
0.2500 0.5000 0.7500
0.7500 0.0000 0.2500
0.2500 0.0000 0.7500
0.2437 0.2500 0.4146
0.7438 0.2500 0.9146
0.7563 0.7500 0.5854
0.2562 0.7500 0.0854
```

Calculated values
For the energy, the calculation gives -5.965 eV/atom. For the energy above the lowest structure with this stoichiometry, the calculation gives 70.2 meV/atom. As for the total moment: 0.000 μB/f.u. The volume is 10.02 A^3/atom.


# 4
The following is a DFT calculation (PBE+U) of crystalline LiMnOF2 at its relaxed geometry.

Structure (POSCAR):
```
LiMnOF2
1.0
4.9878 0.0000 0.0000
0.0000 5.2315 0.0000
0.0000 0.0000 8.5226
Li Mn O F
4 4 4 8
direct
0.0000 0.0000 0.0000
0.0000 0.5000 0.3909
0.5000 0.0000 0.8909
0.5000 0.5000 0.5000
0.0000 0.0000 0.6416
0.0000 0.5000 0.8083
0.5000 0.0000 0.3083
0.5000 0.5000 0.1416
0.1817 0.1821 0.8020
0.3183 0.6821 0.3020
0.6817 0.3179 0.3020
0.8183 0.8179 0.8020
0.2288 0.1648 0.4697
0.2298 0.6524 0.6296
0.2702 0.1524 0.1296
0.2712 0.6648 0.9697
0.7288 0.3352 0.9697
0.7298 0.8476 0.1296
0.7702 0.3476 0.6296
0.7712 0.8352 0.4697
```

Calculated values
For the energy, the calculation gives -5.925 eV/atom. For the energy above the lowest structure with this stoichiometry, the calculation gives 63.1 meV/atom. As for the total moment: 4.000 μB/f.u. The volume is 11.12 A^3/atom.


# 5
The following is a DFT calculation (PBE+U) of crystalline Li2MnO2F at its relaxed geometry.

Structure (POSCAR):
```
Li2MnO2F
1.0
-2.5581 -0.3896 -1.6158
5.3158 3.3586 -13.3980
1.8139 -4.5837 -1.1414
Li Mn O F
8 4 8 4
direct
0.0833 0.8334 0.4166
0.5832 0.8334 0.9167
0.3323 0.3333 0.6665
0.8340 0.3334 0.1664
0.4997 0.9941 0.5085
0.9989 0.9940 0.0086
0.6667 0.6726 0.3247
0.1674 0.6727 0.8246
0.2502 0.5028 0.2468
0.9166 0.1638 0.5863
0.7504 0.5027 0.7468
0.4163 0.1639 0.0864
0.9119 0.2426 0.8686
0.4119 0.2427 0.3685
0.7551 0.4240 0.4651
0.2552 0.4240 0.9650
0.4217 0.0851 0.8045
0.9219 0.0851 0.3045
0.2452 0.5816 0.5291
0.7453 0.5816 0.0291
0.6281 0.7530 0.6194
0.1278 0.7530 0.1195
0.5383 0.9137 0.2139
0.0389 0.9137 0.7138
```

Calculated values
For the energy, the calculation gives -6.035 eV/atom. For the energy above the lowest structure with this stoichiometry, the calculation gives 0.0 meV/atom. As for the total moment: 0.000 μB/f.u. The volume is 9.30 A^3/atom.


# 6
The following is a DFT calculation (PBE+U) of crystalline Li2MnO2F at its relaxed geometry.

Structure (POSCAR):
```
Li2MnO2F
1.0
5.1218 0.0000 0.0000
-2.5507 4.5253 0.0000
-0.6115 -1.5089 9.7083
Li Mn O F
8 4 8 4
direct
0.0000 0.0000 0.0000
0.0825 0.3986 0.2440
0.1824 0.8214 0.5005
0.3575 0.6742 0.0010
0.5024 0.4831 0.4903
0.6238 0.9053 0.7454
0.7203 0.3532 0.9897
0.8995 0.1796 0.4984
0.2776 0.2650 0.7490
0.4405 0.0880 0.2473
0.7945 0.7589 0.2482
0.9567 0.5919 0.7462
0.0003 0.3231 0.8620
0.0847 0.7409 0.1337
0.1715 0.1246 0.3670
0.2214 0.5444 0.6262
0.6481 0.5976 0.8548
0.7174 0.0156 0.1392
0.7871 0.4572 0.3512
0.9499 0.8969 0.6448
0.3473 0.9790 0.8835
0.3865 0.3787 0.1113
0.5083 0.7938 0.3821
0.5594 0.2006 0.6163
```

Calculated values
For the energy, the calculation gives -5.952 eV/atom. For the energy above the lowest structure with this stoichiometry, the calculation gives 83.9 meV/atom. As for the total moment: 4.000 μB/f.u. The volume is 9.38 A^3/atom.


# 7
The following is a DFT calculation (PBE+U) of crystalline LiMn2O2F3 at its relaxed geometry.

Structure (POSCAR):
```
LiMn2O2F3
1.0
4.9124 -2.0249 0.0000
4.9124 2.0249 0.0000
-0.1180 0.0000 9.9929
Li Mn O F
2 4 4 6
direct
0.1367 0.1367 0.0601
0.8633 0.8633 0.9399
0.1404 0.1404 0.4423
0.1840 0.1840 0.7494
0.8160 0.8160 0.2506
0.8596 0.8596 0.5577
0.0473 0.0473 0.6142
0.3106 0.3106 0.5754
0.6894 0.6894 0.4246
0.9527 0.9527 0.3858
0.0465 0.0465 0.8814
0.2366 0.2366 0.2608
0.3130 0.3130 0.9062
0.6870 0.6870 0.0938
0.7634 0.7634 0.7392
0.9535 0.9535 0.1186
```

Calculated values
For the energy, the calculation gives -6.239 eV/atom. For the energy above the lowest structure with this stoichiometry, the calculation gives 41.5 meV/atom. As for the total moment: 8.000 μB/f.u. The volume is 12.42 A^3/atom.


# 8
The following is a DFT calculation (PBE+U) of crystalline Li2MnO2F at its relaxed geometry.

Structure (POSCAR):
```
Li2MnO2F
1.0
2.5849 4.4679 0.0460
-4.4783 4.4655 4.7526
3.2735 -0.0007 4.8950
Li Mn O F
8 4 8 4
direct
0.9970 0.4980 0.2571
0.4970 0.9980 0.7571
0.0045 0.5004 0.7545
0.5045 0.0004 0.2545
0.4906 0.6878 0.0780
0.9906 0.1878 0.5780
0.4732 0.3485 0.9170
0.9732 0.8485 0.4170
0.4885 0.3151 0.4345
0.0329 0.1632 0.0860
0.9885 0.8152 0.9345
0.5328 0.6632 0.5860
0.2643 0.6055 0.8908
0.7643 0.1055 0.3908
0.2101 0.9203 0.0758
0.7101 0.4203 0.5758
0.2370 0.2400 0.7697
0.7371 0.7400 0.2697
0.7719 0.7515 0.7585
0.2719 0.2515 0.2585
0.2534 0.5644 0.4095
0.7534 0.0644 0.9095
0.7766 0.4053 0.0686
0.2766 0.9053 0.5686
```

Calculated values
For the energy, the calculation gives -5.946 eV/atom. For the energy above the lowest structure with this stoichiometry, the calculation gives 89.5 meV/atom. As for the total moment: 4.001 μB/f.u. As for the maximum piezoelectric response: 0.82 C/m2. The volume is 9.30 A^3/atom.


# 9
The following is a DFT calculation (PBE+U) of crystalline LiMn2O2F3 at its relaxed geometry.

Structure (POSCAR):
```
LiMn2O2F3
1.0
5.5652 -2.4978 0.0000
5.5652 2.4978 0.0000
-2.2902 0.0000 6.4794
Li Mn O F
2 4 4 6
direct
0.0000 0.0000 0.0000
0.0000 0.0000 0.5000
0.2850 0.3379 0.6311
0.3379 0.2850 0.1311
0.6621 0.7150 0.8689
0.7150 0.6621 0.3689
0.1225 0.4781 0.3669
0.4781 0.1225 0.8669
0.5219 0.8775 0.1331
0.8775 0.5219 0.6331
0.0797 0.6738 0.0505
0.2915 0.7085 0.7500
0.3262 0.9203 0.4495
0.6738 0.0797 0.5505
0.7085 0.2915 0.2500
0.9203 0.3262 0.9495
```

Calculated values
For the energy, the calculation gives -6.276 eV/atom. For the energy above the lowest structure with this stoichiometry, the calculation gives 4.1 meV/atom. As for the total moment: 0.000 μB/f.u. The volume is 11.26 A^3/atom.


# 10
The following is a DFT calculation (PBE+U) of crystalline Li6MnO2F4 at its relaxed geometry.

Structure (POSCAR):
```
Li6MnO2F4
1.0
5.5720 0.0000 0.0000
2.2064 6.6410 0.0000
0.0605 -0.0155 8.4043
Li Mn O F
12 2 4 8
direct
0.0120 0.0129 0.3452
0.0271 0.5153 0.8446
0.3025 0.6713 0.2832
0.3310 0.1784 0.1824
0.3923 0.1715 0.8230
0.4157 0.6766 0.6447
0.5843 0.3234 0.3553
0.6077 0.8285 0.1770
0.6690 0.8216 0.8176
0.6975 0.3287 0.7168
0.9729 0.4847 0.1554
0.9880 0.9871 0.6548
0.0000 0.0000 0.0000
0.0000 0.5000 0.5000
0.2292 0.4194 0.3113
0.2493 0.9284 0.1763
0.7507 0.0716 0.8237
0.7708 0.5806 0.6887
0.1366 0.2928 0.9858
0.1407 0.7904 0.4936
0.3057 0.9266 0.7736
0.3277 0.4327 0.7107
0.6723 0.5673 0.2893
0.6943 0.0734 0.2264
0.8593 0.2096 0.5064
0.8634 0.7072 0.0142
```

Calculated values
For the energy, the calculation gives -5.187 eV/atom. For the energy above the lowest structure with this stoichiometry, the calculation gives 0.0 meV/atom. As for the total moment: 5.000 μB/f.u. The volume is 11.96 A^3/atom.


# 11
The following is a DFT calculation (PBE+U) of crystalline Li2MnO2F at its relaxed geometry.

Structure (POSCAR):
```
Li2MnO2F
1.0
2.5447 -4.5756 0.0000
2.5447 4.5756 0.0000
-1.3716 0.0000 4.8937
Li Mn O F
4 2 4 2
direct
0.0000 0.0000 0.0000
0.1799 0.8201 0.5000
0.5000 0.5000 0.5000
0.8201 0.1799 0.5000
0.3193 0.6807 0.0000
0.6807 0.3193 0.0000
0.0914 0.4365 0.2341
0.4365 0.0914 0.2341
0.5635 0.9086 0.7659
0.9086 0.5635 0.7659
0.2554 0.2554 0.7515
0.7446 0.7446 0.2485
```

Calculated values
For the energy, the calculation gives -5.934 eV/atom. For the energy above the lowest structure with this stoichiometry, the calculation gives 101.4 meV/atom. As for the total moment: 4.000 μB/f.u. The volume is 9.50 A^3/atom.


# 12
The following is a DFT calculation (PBE+U) of crystalline Li8MnO4F2 at its relaxed geometry.

Structure (POSCAR):
```
Li8MnO4F2
1.0
5.5675 0.0000 0.0000
2.7791 4.8320 0.0000
2.6528 1.5827 10.6504
Li Mn O F
16 2 8 4
direct
0.0536 0.2240 0.3303
0.0896 0.9260 0.1706
0.2235 0.3882 0.8235
0.2370 0.6869 0.9871
0.3109 0.0907 0.6812
0.4121 0.5670 0.3146
0.4176 0.7722 0.5083
0.4284 0.2940 0.1862
0.5716 0.7060 0.8138
0.5824 0.2278 0.4917
0.5879 0.4330 0.6854
0.6891 0.9093 0.3188
0.7630 0.3131 0.0129
0.7765 0.6118 0.1765
0.9104 0.0740 0.8294
0.9464 0.7760 0.6697
0.0000 0.5000 0.5000
0.5000 0.0000 0.0000
0.2363 0.0294 0.8765
0.2864 0.4602 0.6191
0.3584 0.2317 0.3759
0.4599 0.6334 0.1199
0.5401 0.3666 0.8801
0.6416 0.7683 0.6241
0.7136 0.5398 0.3809
0.7637 0.9706 0.1235
0.0396 0.8828 0.3554
0.1125 0.2787 0.1426
0.8875 0.7213 0.8574
0.9604 0.1172 0.6446
```

Calculated values
For the energy, the calculation gives -5.128 eV/atom. For the energy above the lowest structure with this stoichiometry, the calculation gives 0.0 meV/atom. As for the total moment: 5.000 μB/f.u. The volume is 9.55 A^3/atom.


# 13
The following is a DFT calculation (PBE+U) of crystalline LiMnOF2 at its relaxed geometry.

Structure (POSCAR):
```
LiMnOF2
1.0
5.1504 0.0000 0.0000
2.4702 4.6193 0.0000
2.2503 1.2986 9.4201
Li Mn O F
4 4 4 8
direct
0.0618 0.0846 0.2944
0.3956 0.4791 0.2065
0.6044 0.5209 0.7935
0.9382 0.9154 0.7056
0.1593 0.1592 0.9858
0.3003 0.3375 0.5161
0.6997 0.6625 0.4839
0.8407 0.8408 0.0142
0.0535 0.4011 0.3851
0.0951 0.8623 0.1171
0.9049 0.1377 0.8829
0.9465 0.5989 0.6149
0.2001 0.5069 0.8764
0.3473 0.9003 0.6163
0.4063 0.6998 0.3723
0.4075 0.1525 0.1169
0.5925 0.8475 0.8831
0.5937 0.3002 0.6277
0.6527 0.0997 0.3837
0.7999 0.4931 0.1236
```

Calculated values
For the energy, the calculation gives -5.934 eV/atom. For the energy above the lowest structure with this stoichiometry, the calculation gives 54.8 meV/atom. As for the total moment: 4.000 μB/f.u. The volume is 11.21 A^3/atom.


# 14
The following is a DFT calculation (PBE+U) of crystalline Li2Mn4O3F8 at its relaxed geometry.

Structure (POSCAR):
```
Li2Mn4O3F8
1.0
5.1242 0.0000 0.0000
-0.7967 6.5374 0.0000
-1.9036 -2.4399 6.2141
Li Mn O F
2 4 3 8
direct
0.1680 0.1818 0.3982
0.8320 0.8182 0.6018
0.1646 0.6228 0.2362
0.3945 0.2478 0.9739
0.6055 0.7522 0.0261
0.8354 0.3772 0.7638
0.2391 0.5220 0.9617
0.5000 0.0000 0.0000
0.7609 0.4780 0.0383
0.0050 0.8965 0.1917
0.1078 0.7074 0.4991
0.3009 0.3464 0.2576
0.4514 0.2047 0.6560
0.5486 0.7953 0.3440
0.6991 0.6536 0.7424
0.8922 0.2926 0.5009
0.9950 0.1035 0.8083
```

Calculated values
For the energy, the calculation gives -6.025 eV/atom. As for the total moment: 16.000 μB/f.u. The volume is 12.25 A^3/atom.